# 1
{"formula": "Li5MnCo2O8", "functional": "PBE with a Hubbard U", "state": "optimized geometry", "lattice": [[2.859, 0.000, 0.427], [-0.057, 5.080, 0.381], [0.005, -0.087, 9.753]], "species": ["Li", "Li", "Li", "Li", "Li", "O", "O", "O", "O", "O", "O", "O", "O", "Co", "Co", "Mn"], "frac_coords": [[0.623, 0.874, 0.754], [0.500, 0.500, 0.000], [0.377, 0.126, 0.246], [0.120, 0.383, 0.759], [0.880, 0.617, 0.241], [0.193, 0.068, 0.613], [0.942, 0.287, 0.117], [0.445, 0.833, 0.111], [0.308, 0.436, 0.385], [0.058, 0.713, 0.883], [0.807, 0.932, 0.387], [0.692, 0.564, 0.615], [0.555, 0.167, 0.889], [0.250, 0.750, 0.500], [0.750, 0.250, 0.500], [0.000, 0.000, 0.000]]}

***

# 2
{"formula": "Li4MnCo2O7", "functional": "PBE with a Hubbard U", "state": "optimized geometry", "lattice": [[1.461, 9.738, 0.000], [-1.461, 9.738, 0.000], [0.000, 4.008, 8.904]], "species": ["Li", "Li", "Li", "Li", "Li", "Li", "Li", "Li", "O", "O", "O", "O", "O", "O", "O", "O", "O", "O", "O", "O", "O", "O", "Co", "Co", "Co", "Co", "Mn", "Mn"], "frac_coords": [[0.508, 0.508, 0.501], [0.075, 0.075, 0.224], [0.141, 0.141, 0.427], [0.641, 0.641, 0.922], [0.776, 0.776, 0.373], [0.933, 0.933, 0.773], [0.215, 0.215, 0.637], [0.355, 0.355, 0.073], [0.813, 0.813, 0.968], [0.676, 0.676, 0.548], [0.959, 0.959, 0.389], [0.246, 0.246, 0.237], [0.184, 0.184, 0.045], [0.387, 0.387, 0.679], [0.755, 0.755, 0.755], [0.096, 0.096, 0.832], [0.616, 0.616, 0.304], [0.327, 0.327, 0.464], [0.466, 0.466, 0.908], [0.902, 0.902, 0.176], [0.037, 0.037, 0.614], [0.530, 0.530, 0.096], [0.582, 0.582, 0.687], [0.857, 0.857, 0.573], [0.428, 0.428, 0.289], [0.286, 0.286, 0.859], [0.000, 0.000, 0.996], [0.710, 0.710, 0.152]]}

***

Quick rundown of formation energy, same order as above: -1.8428 -1.8589 eV per atom